(1)
A geometry-optimized RbLiH4S2N2O6 structure. Source: Materials Project, functional GGA-PBE.

Cell lengths 7.947, 9.978, 10.954 Å; angles 108.93, 93.68, 98.15 degrees
Atoms (fractional coordinates):
O 0.377 0.055 0.640
O 0.164 0.170 0.563
O 0.780 0.523 0.970
O 0.793 0.401 0.648
O 0.207 0.599 0.352
O 0.762 0.515 0.481
O 0.157 0.171 0.283
O 0.843 0.829 0.717
O 0.412 0.676 0.003
O 0.864 0.840 0.942
O 0.869 0.286 0.432
O 0.136 0.160 0.058
O 0.220 0.477 0.030
O 0.369 0.069 0.144
O 0.836 0.830 0.437
O 0.132 0.710 0.075
O 0.163 0.151 0.780
O 0.837 0.849 0.220
O 0.631 0.931 0.856
O 0.238 0.485 0.519
O 0.868 0.290 0.925
O 0.588 0.324 0.997
O 0.131 0.714 0.568
O 0.623 0.945 0.360
H 0.443 0.813 0.565
H 0.465 0.344 0.674
H 0.691 0.584 0.752
H 0.557 0.187 0.435
H 0.549 0.657 0.850
H 0.973 0.474 0.175
H 0.027 0.526 0.825
H 0.776 0.492 0.217
H 0.543 0.662 0.173
H 0.502 0.320 0.387
H 0.535 0.656 0.326
H 0.498 0.680 0.613
H 0.309 0.416 0.248
H 0.451 0.343 0.150
H 0.224 0.508 0.783
H 0.457 0.338 0.827
Li 0.884 0.710 0.543
Li 0.110 0.276 0.948
Li 0.890 0.724 0.052
Li 0.116 0.290 0.457
S 0.759 0.381 0.509
S 0.746 0.826 0.827
S 0.234 0.609 0.997
S 0.254 0.174 0.173
S 0.241 0.619 0.491
S 0.732 0.834 0.323
S 0.268 0.166 0.677
S 0.766 0.391 0.003
N 0.387 0.329 0.741
N 0.557 0.295 0.464
N 0.443 0.705 0.536
N 0.847 0.425 0.157
N 0.613 0.671 0.259
N 0.619 0.665 0.776
N 0.381 0.335 0.224
N 0.153 0.575 0.843
Rb 0.759 0.102 0.145
Rb 0.223 0.905 0.340
Rb 0.777 0.095 0.660
Rb 0.241 0.898 0.855

Summary:
* SG: P-1 (2)
* E_form: -32.59 kcal/mol of atoms

(2)
A geometry-optimized MgAg20Bi4O16 structure. Source: Materials Project, functional GGA-PBE.

Cell lengths 6.090, 8.999, 13.504 Å; angles 84.88, 86.06, 85.80 degrees
Atoms (fractional coordinates):
Ag 0.282 0.255 0.377
Ag 0.226 0.759 0.619
Ag 0.792 0.250 0.378
Ag 0.503 0.003 0.501
Ag 0.004 0.504 0.498
Ag 0.011 0.495 0.742
Ag 0.000 0.514 0.255
Ag 0.214 0.744 0.124
Ag 0.003 0.129 0.646
Ag 0.582 0.390 0.175
Ag 0.421 0.600 0.822
Ag 0.006 0.503 0.999
Ag 0.265 0.247 0.879
Ag 0.432 0.983 0.737
Ag 0.590 0.020 0.270
Ag 0.406 0.952 0.970
Ag 0.735 0.753 0.620
Ag 0.757 0.284 0.874
Ag 0.706 0.733 0.118
Ag 0.016 0.877 0.355
Bi 0.502 0.641 0.383
Bi 0.930 0.850 0.857
Bi 0.115 0.159 0.142
Bi 0.508 0.365 0.614
O 0.863 0.651 0.376
O 0.516 0.374 0.440
O 0.590 0.122 0.621
O 0.064 0.125 0.311
O 0.985 0.179 0.975
O 0.286 0.820 0.847
O 0.873 0.619 0.867
O 0.465 0.617 0.210
O 0.500 0.635 0.555
O 0.146 0.392 0.132
O 0.955 0.883 0.687
O 0.417 0.884 0.381
O 0.500 0.375 0.785
O 0.744 0.166 0.156
O 0.146 0.356 0.620
O 0.955 0.862 0.040
Mg 0.751 0.051 0.037

Summary:
* SG: P1 (1)
* E_form: -15.40 kcal/mol of atoms

(3)
A geometry-optimized LaZnNi2 structure. Source: Materials Project, functional GGA-PBE.

Cell lengths 5.309, 5.309, 16.244 Å; angles 90.00, 90.00, 120.00 degrees
Atoms (fractional coordinates):
Ni 0.834 0.668 0.627
Ni 0.332 0.166 0.627
Ni 0.166 0.332 0.127
Ni 0.332 0.166 0.873
Ni 0.834 0.166 0.873
Ni 0.166 0.834 0.373
Ni 0.668 0.834 0.373
Ni 0.834 0.166 0.627
Ni 0.668 0.834 0.127
Ni 0.834 0.668 0.873
Ni 0.166 0.332 0.373
Ni 0.166 0.834 0.127
Zn 0.000 0.000 0.750
Zn 0.000 0.000 0.000
Zn 0.667 0.333 0.750
Zn 0.000 0.000 0.250
Zn 0.333 0.667 0.250
Zn 0.000 0.000 0.500
La 0.667 0.333 0.043
La 0.667 0.333 0.250
La 0.333 0.667 0.750
La 0.333 0.667 0.957
La 0.333 0.667 0.543
La 0.667 0.333 0.457

Summary:
* SG: P6_3/mmc (194)
* E_form: -7.72 kcal/mol of atoms